DFT (PBE) results for crystalline P2PbO7 at its relaxed geometry.

Results
energy relative to the elements = -20.36 eV per formula unit
SG = No. 92

Cell: 11.843 11.843 11.897 Å, 90.00 90.00 90.00°
Fractional coordinates of all 120 atoms:
P: 0.924 0.347 0.710
P: 0.076 0.653 0.210
P: 0.847 0.576 0.460
P: 0.153 0.424 0.960
P: 0.653 0.076 0.790
P: 0.347 0.924 0.290
P: 0.576 0.847 0.540
P: 0.424 0.153 0.040
P: 0.104 0.187 0.707
P: 0.896 0.813 0.207
P: 0.687 0.396 0.457
P: 0.313 0.604 0.957
P: 0.813 0.896 0.793
P: 0.187 0.104 0.293
P: 0.396 0.687 0.543
P: 0.604 0.313 0.043
P: 0.938 0.183 0.531
P: 0.062 0.817 0.031
P: 0.683 0.562 0.281
P: 0.317 0.438 0.781
P: 0.817 0.062 0.969
P: 0.183 0.938 0.469
P: 0.562 0.683 0.719
P: 0.438 0.317 0.219
Pb: 0.618 0.382 0.750
Pb: 0.382 0.618 0.250
Pb: 0.882 0.882 0.500
Pb: 0.118 0.118 0.000
Pb: 0.657 0.070 0.222
Pb: 0.343 0.930 0.722
Pb: 0.570 0.843 0.972
Pb: 0.430 0.157 0.472
Pb: 0.930 0.343 0.278
Pb: 0.070 0.657 0.778
Pb: 0.843 0.570 0.028
Pb: 0.157 0.430 0.528
O: 0.993 0.437 0.650
O: 0.007 0.563 0.150
O: 0.937 0.507 0.400
O: 0.063 0.493 0.900
O: 0.563 0.007 0.850
O: 0.437 0.993 0.350
O: 0.507 0.937 0.600
O: 0.493 0.063 0.100
O: 0.832 0.385 0.787
O: 0.168 0.615 0.287
O: 0.885 0.668 0.537
O: 0.115 0.332 0.037
O: 0.615 0.168 0.713
O: 0.385 0.832 0.213
O: 0.668 0.885 0.463
O: 0.332 0.115 0.963
O: 0.151 0.103 0.788
O: 0.849 0.897 0.288
O: 0.603 0.349 0.538
O: 0.397 0.651 0.038
O: 0.897 0.849 0.712
O: 0.103 0.151 0.212
O: 0.349 0.603 0.462
O: 0.651 0.397 0.962
O: 0.183 0.266 0.646
O: 0.817 0.734 0.146
O: 0.766 0.317 0.396
O: 0.234 0.683 0.896
O: 0.734 0.817 0.854
O: 0.266 0.183 0.354
O: 0.317 0.766 0.604
O: 0.683 0.234 0.104
O: 0.865 0.094 0.482
O: 0.135 0.906 0.982
O: 0.594 0.635 0.232
O: 0.406 0.365 0.732
O: 0.906 0.135 0.018
O: 0.094 0.865 0.518
O: 0.635 0.594 0.768
O: 0.365 0.406 0.268
O: 0.004 0.261 0.453
O: 0.996 0.739 0.953
O: 0.761 0.496 0.203
O: 0.239 0.504 0.703
O: 0.739 0.996 0.047
O: 0.261 0.004 0.547
O: 0.496 0.761 0.797
O: 0.504 0.239 0.297
O: 0.008 0.261 0.775
O: 0.992 0.739 0.275
O: 0.761 0.492 0.525
O: 0.239 0.508 0.025
O: 0.739 0.992 0.725
O: 0.261 0.008 0.225
O: 0.492 0.761 0.475
O: 0.508 0.239 0.975
O: 0.026 0.122 0.616
O: 0.974 0.878 0.116
O: 0.622 0.474 0.366
O: 0.378 0.526 0.866
O: 0.878 0.974 0.884
O: 0.122 0.026 0.384
O: 0.474 0.622 0.634
O: 0.526 0.378 0.134
O: 0.867 0.261 0.618
O: 0.133 0.739 0.118
O: 0.761 0.633 0.368
O: 0.239 0.367 0.868
O: 0.739 0.133 0.882
O: 0.261 0.867 0.382
O: 0.633 0.761 0.632
O: 0.367 0.239 0.132
O: 0.621 0.104 0.421
O: 0.379 0.896 0.921
O: 0.604 0.879 0.171
O: 0.396 0.121 0.671
O: 0.896 0.379 0.079
O: 0.104 0.621 0.579
O: 0.879 0.604 0.829
O: 0.121 0.396 0.329
O: 0.153 0.847 0.750
O: 0.847 0.153 0.250
O: 0.347 0.347 0.500
O: 0.653 0.653 0.000